<A>
VASP calculation (PBE) on K2PtS6 after structural relaxation.

Space group: C2/m, No. 12

```
data_K2PtS6
_chemical_formula_sum 'K2 Pt1 S6'
_cell_length_a 7.533
_cell_length_b 7.533
_cell_length_c 5.246
_cell_angle_alpha 90.41
_cell_angle_beta 90.41
_cell_angle_gamma 60.20
_space_group_name_H-M_alt 'P 1'
_space_group_IT_number 1
loop_
_space_group_symop_operation_xyz
'x,y,z'
loop_
_atom_site_label
_atom_site_type_symbol
_atom_site_fract_x
_atom_site_fract_y
_atom_site_fract_z
K1 K 0.174 0.174 0.106
K2 K 0.826 0.826 0.894
Pt1 Pt 0.500 0.500 0.500
S1 S 0.142 0.710 0.417
S2 S 0.290 0.858 0.583
S3 S 0.321 0.321 0.603
S4 S 0.679 0.679 0.397
S5 S 0.710 0.142 0.417
S6 S 0.858 0.290 0.583
```

<B>
VASP calculation (PBE) on K2PtS6 after structural relaxation.

Space group: P-1, No. 2

```
data_K2PtS6
_chemical_formula_sum 'K2 Pt1 S6'
_cell_length_a 7.002
_cell_length_b 7.309
_cell_length_c 8.310
_cell_angle_alpha 108.67
_cell_angle_beta 107.06
_cell_angle_gamma 101.65
_space_group_name_H-M_alt 'P 1'
_space_group_IT_number 1
loop_
_space_group_symop_operation_xyz
'x,y,z'
loop_
_atom_site_label
_atom_site_type_symbol
_atom_site_fract_x
_atom_site_fract_y
_atom_site_fract_z
K1 K 0.205 0.295 0.004
K2 K 0.795 0.705 0.996
Pt1 Pt 0.500 0.000 0.500
S1 S 0.228 0.724 0.251
S2 S 0.292 0.979 0.680
S3 S 0.487 0.805 0.681
S4 S 0.513 0.195 0.319
S5 S 0.708 0.021 0.320
S6 S 0.772 0.276 0.749
```

<A> is the most stable structure; the next one sits 55 meV per atom above it.